(1)
# S2I2O11 (PBE-GGA, relaxed)
data_S2I2O11
_symmetry_space_group_name_H-M 'P n a 21'
_symmetry_Int_Tables_number 33
_cell_length_a 18.588
_cell_length_b 4.743
_cell_length_c 10.782
_cell_angle_alpha 90.00
_cell_angle_beta 90.00
_cell_angle_gamma 90.00
loop_
_symmetry_equiv_pos_as_xyz
'x,y,z'
'-x,-y,z+1/2'
'-x+1/2,y+1/2,z+1/2'
'x+1/2,-y+1/2,z'
loop_
_atom_site_label
_atom_site_fract_x
_atom_site_fract_y
_atom_site_fract_z
S1 0.098 0.030 0.000
S2 0.153 0.017 0.752
I1 0.048 0.787 0.317
I2 0.199 0.686 0.434
O1 0.046 0.160 0.313
O2 0.048 0.250 0.948
O3 0.061 0.816 0.072
O4 0.092 0.156 0.698
O5 0.093 0.719 0.478
O6 0.124 0.846 0.877
O7 0.154 0.731 0.272
O8 0.160 0.160 0.054
O9 0.187 0.793 0.682
O10 0.205 0.315 0.450
O11 0.206 0.230 0.802
# energy relative to the lowest polymorph listed for this composition	0	meV/atom
# corrected total energy (MP2020 scheme)	-5.62	eV/atom

---

(2)
# EuCu4As2 (PBE-GGA, relaxed)
data_EuCu4As2
_symmetry_space_group_name_H-M 'R -3 m'
_symmetry_Int_Tables_number 166
_symmetry_space_group_name_Hall '-R 3 2"'
_cell_length_a 4.1690
_cell_length_b 4.1690
_cell_length_c 23.0057
_cell_angle_alpha 90.00
_cell_angle_beta 90.00
_cell_angle_gamma 120.00
loop_
_atom_site_label
_atom_site_fract_x
_atom_site_fract_y
_atom_site_fract_z
Eu1 0.0000 0.0000 0.0000
Cu1 0.0000 0.0000 0.1457
Cu2 0.0000 0.0000 0.4390
As1 0.0000 0.0000 0.2523
# uncorrected energy	-38.6	eV/f.u.